# 1
Material: Si4MoW
Method: DFT, PBE
State: optimized geometry

```
Si4MoW
1.0
3.2265 0.0000 0.0000
0.0000 3.2265 0.0000
0.0000 0.0000 7.8728
Si Mo W
4 1 1
direct
0.0000 0.0000 0.1646
0.0000 0.0000 0.8354
0.5000 0.5000 0.3343
0.5000 0.5000 0.6657
0.5000 0.5000 0.0000
0.0000 0.0000 0.5000
```

Energy of formation from the pure elements: -0.42 eV per atom
Crystal system: tetragonal
Volume: 13.7 A^3/atom
Electronic total energy: -8.008 eV/atom

***

# 2
Material: PrPtF7
Method: DFT, PBE
State: optimized geometry

```
PrPtF7
1.0
9.2427 0.0000 0.0000
0.0000 5.7020 0.0000
-5.8334 0.0000 10.9087
Pr Pt F
4 4 28
direct
0.1890 0.2393 0.2642
0.1890 0.2607 0.7642
0.8110 0.7393 0.2358
0.8110 0.7607 0.7358
0.2733 0.7433 0.0425
0.2733 0.7567 0.5425
0.7267 0.2433 0.4575
0.7267 0.2567 0.9575
0.0321 0.7426 0.9511
0.0321 0.7574 0.4511
0.0333 0.5947 0.7310
0.0333 0.9053 0.2310
0.2585 0.5591 0.1717
0.2585 0.9409 0.6717
0.2718 0.0312 0.1297
0.2718 0.4688 0.6297
0.2818 0.0495 0.4607
0.2818 0.4505 0.9607
0.2927 0.5686 0.4164
0.2927 0.9314 0.9164
0.4857 0.2339 0.3617
0.4857 0.2661 0.8617
0.5143 0.7339 0.1383
0.5143 0.7661 0.6383
0.7073 0.0686 0.0836
0.7073 0.4314 0.5836
0.7182 0.5495 0.0393
0.7182 0.9505 0.5393
0.7282 0.5312 0.3703
0.7282 0.9688 0.8703
0.7415 0.0591 0.3283
0.7415 0.4409 0.8283
0.9667 0.0947 0.7690
0.9667 0.4053 0.2690
0.9679 0.2426 0.5489
0.9679 0.2574 0.0489
```

Energy of formation from the pure elements: -2.91 eV per atom
Crystal system: monoclinic
Volume: 16.0 A^3/atom
Electronic total energy: -5.242 eV/atom
E (MP2020): -5.60 eV/atom

***

# 3
Material: Na8Y2Zn2Si3S3O24
Method: DFT, PBE
State: optimized geometry

```
Na8Y2Zn2Si3S3O24
1.0
9.3868 0.0000 0.0000
4.6380 8.1845 0.0000
0.4442 0.4724 22.8772
Na Y Zn Si S O
24 6 6 9 9 72
direct
0.0000 0.0000 0.0000
0.0034 0.2652 0.4981
0.0174 0.6292 0.7451
0.0213 0.3560 0.1670
0.0351 0.9486 0.6587
0.2730 0.3493 0.6767
0.2999 0.9881 0.5856
0.3006 0.6703 0.1515
0.3230 0.3481 0.3161
0.3386 0.5961 0.8329
0.3400 0.6769 0.5109
0.3479 0.9756 0.0763
0.3708 0.2805 0.9963
0.6077 0.6806 0.0086
0.6334 0.3207 0.9184
0.6391 0.0173 0.4963
0.6621 0.9458 0.1486
0.6663 0.6669 0.6685
0.6710 0.0146 0.8455
0.6858 0.3063 0.4096
0.7055 0.5921 0.3183
0.9465 0.0221 0.3331
0.9683 0.3515 0.8246
0.9923 0.6351 0.2342
0.0003 0.6561 0.9036
0.3169 0.0001 0.7335
0.3243 0.9992 0.2320
0.6463 0.3336 0.0664
0.6652 0.3259 0.5704
0.9908 0.6568 0.4008
0.0168 0.6539 0.6053
0.2730 0.9958 0.4277
0.3543 0.9898 0.9383
0.6404 0.3458 0.7593
0.6525 0.3426 0.2459
0.9907 0.6664 0.0946
0.0152 0.2948 0.3351
0.2900 0.6706 0.9990
0.3317 0.2883 0.8330
0.3559 0.6273 0.6658
0.3569 0.3310 0.1704
0.6660 0.6271 0.1668
0.6963 0.9556 0.0001
0.9545 0.3337 0.6670
0.9916 0.9529 0.5006
0.0204 0.9947 0.8342
0.2936 0.3534 0.5006
0.3288 0.6925 0.3375
0.6187 0.9911 0.3379
0.6247 0.6897 0.8335
0.6624 0.0214 0.6676
0.6857 0.6648 0.5005
0.9529 0.0272 0.1701
0.9962 0.3537 0.0010
0.9997 0.8456 0.8362
0.0125 0.8361 0.5580
0.0158 0.4359 0.0523
0.0983 0.1909 0.3964
0.1043 0.0082 0.8855
0.1217 0.0059 0.1743
0.1223 0.9709 0.7798
0.1361 0.2054 0.2796
0.1414 0.1724 0.6701
0.1438 0.1902 0.9958
0.1628 0.4725 0.8349
0.1637 0.9660 0.4992
0.1699 0.6495 0.6656
0.1747 0.6946 0.0573
0.1766 0.6777 0.3417
0.1792 0.4990 0.1651
0.1902 0.4322 0.5525
0.2129 0.6328 0.9411
0.2144 0.4550 0.4467
0.3008 0.8414 0.9915
0.3051 0.2086 0.7736
0.3083 0.7921 0.2842
0.3174 0.1856 0.4961
0.3285 0.1711 0.1720
0.3438 0.8091 0.6687
0.3487 0.7727 0.3899
0.3524 0.1706 0.8905
0.4398 0.5105 0.7233
0.4489 0.3458 0.2296
0.4588 0.3427 0.5033
0.4602 0.5461 0.6052
0.4737 0.5260 0.3348
0.4758 0.2937 0.1135
0.4773 0.5100 0.0018
0.4956 0.8064 0.1719
0.5014 0.3045 0.8290
0.5092 0.9795 0.0003
0.5140 0.0008 0.6724
0.5211 0.0018 0.3912
0.5220 0.7723 0.8850
0.5232 0.8145 0.4935
0.5414 0.9691 0.2853
0.5477 0.7869 0.7787
0.6347 0.1225 0.6125
0.6364 0.1397 0.3326
0.6378 0.5379 0.1115
0.6436 0.5229 0.8310
0.6643 0.5159 0.5024
0.6823 0.1039 0.7182
0.6863 0.1367 0.0017
0.6986 0.5143 0.2273
0.7672 0.6788 0.5526
0.7853 0.8381 0.0571
0.7879 0.8428 0.3400
0.7905 0.6400 0.4472
0.7917 0.6747 0.8361
0.7957 0.8732 0.9390
0.8086 0.8572 0.6622
0.8271 0.1392 0.5023
0.8293 0.6486 0.1606
0.8351 0.3060 0.3311
0.8381 0.3548 0.7248
0.8490 0.3331 0.0060
0.8528 0.1092 0.2233
0.8569 0.1435 0.8282
0.8792 0.1290 0.1166
0.8798 0.2974 0.6080
0.9659 0.5044 0.6598
0.9660 0.8643 0.1670
0.9682 0.8736 0.4407
0.9690 0.4553 0.9464
0.9976 0.4806 0.3373
```

Energy of formation from the pure elements: -2.51 eV per atom
Crystal system: triclinic
Volume: 13.9 A^3/atom
Electronic total energy: -6.244 eV/atom
E (MP2020): -6.64 eV/atom

***

Among the records above, which one has the lowest volume?
Si4MoW